No. 1
First-principles (meta-GGA r2SCAN) data for ErB12 after structural relaxation, as listed in the Materials Project.

abc: 5.280 5.280 5.280
angles: 60.00 60.00 60.00
Positions (direct):
Er  0.000  0.000  0.000
B  0.162  0.500  0.500
B  0.162  0.500  0.838
B  0.162  0.838  0.500
B  0.500  0.162  0.500
B  0.500  0.162  0.838
B  0.500  0.500  0.162
B  0.500  0.500  0.838
B  0.500  0.838  0.162
B  0.500  0.838  0.500
B  0.838  0.162  0.500
B  0.838  0.500  0.162
B  0.838  0.500  0.500


No. 2
First-principles (meta-GGA r2SCAN) data for ErB2 after structural relaxation, as listed in the Materials Project.

abc: 3.270 3.270 3.791
angles: 90.00 90.00 120.00
Positions (direct):
Er  0.000  0.000  0.000
B  0.333  0.667  0.500
B  0.667  0.333  0.500


no.,energy relative to the elements (meV/atom),E (eV per atom),size of the total moment (μB/f.u.)
1,-265,-9.656,0.0
2,-702,-16.908,0.0